The following is a PBE calculation of an optimized crystal structure of NaCu4As3O12, from the Materials Project. Values from VASP.

Summary:
The energy of formation from the pure elements comes out at -1.43 eV/atom. As for the space-group type: C2/c.

Structure (Quantum ESPRESSO input):
```
&SYSTEM
  ibrav = 0, nat = 40, ntyp = 4
/
ATOMIC_SPECIES
Na 22.99 Na.upf
Cu 63.55 Cu.upf
As 74.92 As.upf
O 16.00 O.upf
CELL_PARAMETERS angstrom
6.100 -6.267 0.000
6.100 6.267 0.000
-3.596 0.000 6.622
ATOMIC_POSITIONS angstrom
Na 3.403 6.191 4.966
Na 5.201 -6.191 1.655
Cu 0.390 1.956 4.248
Cu 5.201 2.952 1.655
Cu 2.188 -1.956 0.937
Cu 3.403 0.084 4.966
Cu 5.201 -0.084 1.655
Cu 6.415 1.956 5.684
Cu 3.403 -2.952 4.966
Cu 8.213 -1.956 2.374
As 2.337 1.489 0.786
As 3.403 2.846 4.966
As 0.539 -1.489 4.097
As 8.065 1.489 2.524
As 5.201 -2.846 1.655
As 6.267 -1.489 5.835
O 3.896 4.182 0.834
O 1.591 2.441 2.022
O 3.631 3.786 3.556
O -0.206 0.060 4.071
O 1.592 -0.060 0.760
O 3.174 3.786 6.376
O 4.055 1.391 1.166
O 2.176 1.540 4.897
O 6.505 4.182 2.477
O -0.207 -2.441 5.333
O 4.630 1.540 5.035
O 2.257 -1.391 4.477
O 6.347 1.391 2.145
O 3.974 -1.540 1.587
O 8.811 2.441 1.289
O 2.099 -4.182 4.145
O 6.428 -1.540 1.724
O 4.549 -1.391 5.456
O 5.429 -3.786 0.245
O 7.012 0.060 5.861
O 8.810 -0.060 2.550
O 4.972 -3.786 3.065
O 7.013 -2.441 4.599
O 4.707 -4.182 5.788
```


The following is a PBE calculation of an optimized crystal structure of Na7Cu4As5O20, from the Materials Project. Values from VASP.

Summary:
The energy of formation from the pure elements comes out at -1.70 eV/atom. As for the space-group type: C2/c.

Structure (Quantum ESPRESSO input):
```
&SYSTEM
  ibrav = 0, nat = 144, ntyp = 4
/
ATOMIC_SPECIES
Na 22.99 Na.upf
Cu 63.55 Cu.upf
As 74.92 As.upf
O 16.00 O.upf
CELL_PARAMETERS angstrom
3.973 -7.801 0.000
3.973 7.801 0.000
-1.428 0.000 30.656
ATOMIC_POSITIONS angstrom
Na -0.431 0.166 13.664
Na -0.066 0.499 10.030
Na -1.145 -0.166 28.991
Na -0.780 -0.499 25.358
Na 0.657 1.711 22.608
Na 1.915 2.090 3.825
Na 1.450 1.923 15.858
Na 2.293 3.688 28.616
Na 3.511 3.688 17.367
Na 1.371 -1.711 7.280
Na 1.201 -2.090 19.153
Na 2.164 -1.923 0.530
Na 3.284 0.406 9.686
Na 2.570 -0.406 25.014
Na 3.947 0.406 5.641
Na 3.234 -0.406 20.969
Na 4.354 1.923 30.125
Na 5.317 2.090 11.503
Na 5.147 1.711 23.375
Na 3.007 -3.688 13.289
Na 4.225 -3.688 2.039
Na 5.068 -1.923 14.798
Na 4.603 -2.090 26.831
Na 5.861 -1.711 8.047
Na 7.298 0.499 5.298
Na 7.662 0.166 1.664
Na 6.584 -0.499 20.626
Na 6.949 -0.166 16.992
Cu 3.509 4.519 2.157
Cu 2.467 3.913 21.052
Cu 3.156 3.814 9.885
Cu 3.723 4.519 13.170
Cu 4.076 3.814 5.443
Cu 3.337 3.913 24.931
Cu 2.276 0.343 28.315
Cu 2.990 -0.343 12.988
Cu 3.528 0.343 17.668
Cu 4.242 -0.343 2.340
Cu 3.180 -3.913 5.725
Cu 2.442 -3.814 25.212
Cu 2.795 -4.519 17.485
Cu 3.362 -3.814 20.771
Cu 4.051 -3.913 9.603
Cu 3.009 -4.519 28.498
As 1.611 2.206 7.215
As 0.785 2.114 25.839
As 1.628 2.403 12.566
As 1.011 1.565 19.182
As 2.218 1.775 0.489
As 1.725 -1.565 3.854
As 0.897 -2.206 22.543
As 1.499 -2.114 10.511
As 1.504 -1.775 15.816
As 0.915 -2.403 27.894
As 5.603 2.403 2.762
As 5.014 1.775 14.839
As 5.019 2.114 20.144
As 5.620 2.206 8.113
As 4.793 1.565 26.802
As 4.300 -1.775 30.167
As 5.507 -1.565 11.474
As 4.889 -2.403 18.089
As 5.733 -2.114 4.817
As 4.907 -2.206 23.440
O 0.565 3.335 27.021
O 1.607 3.494 8.368
O 3.371 6.085 0.116
O 2.944 6.143 12.456
O 0.970 2.958 20.260
O 3.130 5.665 5.907
O 1.880 3.757 13.640
O 2.519 5.417 18.694
O 2.305 5.440 24.489
O 2.308 3.191 1.482
O 4.287 6.143 2.872
O 3.860 6.085 15.212
O 4.102 5.665 9.421
O 1.652 0.661 7.930
O 3.499 5.440 21.494
O 3.285 5.417 27.289
O 0.999 0.147 20.107
O 1.785 1.009 13.613
O 0.990 0.545 26.527
O 1.713 -0.147 4.779
O 2.956 2.409 6.149
O 2.149 2.368 24.796
O 2.842 2.351 11.340
O 2.367 0.421 1.574
O 0.938 -0.661 23.258
O 2.446 1.813 18.272
O 1.960 1.796 29.902
O 1.704 -0.545 11.199
O 1.653 -0.421 16.902
O 1.071 -1.009 28.941
O 4.390 2.351 3.988
O 1.683 -2.958 4.932
O 3.655 2.368 21.188
O 4.275 2.409 9.178
O 1.278 -3.335 11.693
O 5.352 3.757 1.687
O 3.844 1.796 16.081
O 3.358 1.813 27.712
O 0.893 -3.494 23.696
O 4.924 3.191 13.845
O 1.594 -3.191 16.810
O 5.625 3.494 6.960
O 3.160 -1.813 2.944
O 2.674 -1.796 14.575
O 1.166 -3.757 28.968
O 5.239 3.335 18.963
O 2.243 -2.409 21.477
O 2.863 -2.368 9.468
O 4.834 2.958 25.724
O 2.128 -2.351 26.668
O 5.447 1.009 1.715
O 4.865 0.421 13.753
O 4.814 0.545 19.456
O 4.558 -1.796 0.753
O 4.072 -1.813 12.384
O 5.580 0.661 7.398
O 4.151 -0.421 29.081
O 3.676 -2.351 19.316
O 4.368 -2.368 5.860
O 3.561 -2.409 24.506
O 4.805 0.147 25.876
O 5.528 -0.545 4.128
O 4.733 -1.009 17.042
O 5.519 -0.147 10.549
O 3.233 -5.417 3.366
O 3.018 -5.440 9.161
O 4.866 -0.661 22.725
O 2.416 -5.665 21.235
O 2.657 -6.085 15.444
O 2.231 -6.143 27.784
O 4.210 -3.191 29.173
O 4.213 -5.440 6.166
O 3.998 -5.417 11.961
O 4.638 -3.757 17.015
O 3.388 -5.665 24.748
O 5.548 -2.958 10.396
O 3.573 -6.143 18.200
O 3.147 -6.085 30.539
O 4.911 -3.494 22.288
O 5.953 -3.335 3.635
```


The following is a PBE calculation of an optimized crystal structure of Cu5As2O10, from the Materials Project. Values from VASP.

Summary:
The energy of formation from the pure elements comes out at -1.21 eV/atom. As for the space-group type: P-1.

Structure (Quantum ESPRESSO input):
```
&SYSTEM
  ibrav = 0, nat = 17, ntyp = 3
/
ATOMIC_SPECIES
Cu 63.55 Cu.upf
As 74.92 As.upf
O 16.00 O.upf
CELL_PARAMETERS angstrom
5.218 0.000 0.000
-0.513 6.310 0.000
-0.607 -1.205 6.239
ATOMIC_POSITIONS angstrom
Cu 0.000 0.000 0.000
Cu 0.265 3.904 1.379
Cu 0.922 0.116 3.425
Cu 3.175 4.989 2.814
Cu 3.833 1.200 4.859
As 1.319 3.245 4.804
As 2.779 1.860 1.435
O -0.546 5.605 1.776
O 0.394 1.929 4.174
O 1.190 2.278 0.943
O 0.483 3.927 6.184
O 1.434 4.455 3.550
O 2.664 0.649 2.689
O 3.615 1.178 0.054
O 2.908 2.827 5.295
O 3.704 3.175 2.064
O 4.644 -0.500 4.463
```


The following is a PBE calculation of an optimized crystal structure of CuAs2O4, from the Materials Project. Values from VASP.

Summary:
The energy of formation from the pure elements comes out at -1.41 eV/atom. As for the space-group type: P4_2/mbc.

Structure (Quantum ESPRESSO input):
```
&SYSTEM
  ibrav = 0, nat = 28, ntyp = 3
/
ATOMIC_SPECIES
Cu 63.55 Cu.upf
As 74.92 As.upf
O 16.00 O.upf
CELL_PARAMETERS angstrom
8.889 0.000 0.000
0.000 8.889 0.000
0.000 0.000 5.641
ATOMIC_POSITIONS angstrom
Cu 0.000 4.445 1.410
Cu 0.000 4.445 4.231
Cu 4.445 0.000 1.410
Cu 4.445 0.000 4.231
As 1.399 1.845 0.000
As 1.845 7.490 2.820
As 2.599 3.045 2.820
As 3.045 6.290 0.000
As 5.844 2.599 0.000
As 6.290 5.844 2.820
As 7.044 1.399 2.820
As 7.490 7.044 0.000
O 0.821 3.364 2.820
O 1.081 3.623 0.000
O 1.845 6.289 1.410
O 1.845 6.289 4.231
O 2.600 1.845 1.410
O 2.600 1.845 4.231
O 3.364 8.068 0.000
O 3.623 7.808 2.820
O 5.266 1.081 2.820
O 5.526 0.821 0.000
O 6.289 7.045 1.410
O 6.289 7.045 4.231
O 7.045 2.600 1.410
O 7.045 2.600 4.231
O 7.808 5.266 0.000
O 8.068 5.526 2.820
```


The following is a PBE calculation of an optimized crystal structure of Cu4As2O9, from the Materials Project. Values from VASP.

Summary:
The energy of formation from the pure elements comes out at -1.24 eV/atom. As for the space-group type: P-1.

Structure (Quantum ESPRESSO input):
```
&SYSTEM
  ibrav = 0, nat = 30, ntyp = 3
/
ATOMIC_SPECIES
Cu 63.55 Cu.upf
As 74.92 As.upf
O 16.00 O.upf
CELL_PARAMETERS angstrom
6.464 0.000 0.000
-1.067 7.760 0.000
-3.165 -1.708 7.553
ATOMIC_POSITIONS angstrom
Cu -0.492 2.376 1.759
Cu -1.866 5.810 4.414
Cu 1.180 6.368 0.370
Cu -0.591 3.443 5.698
Cu 2.823 2.609 1.855
Cu 1.053 -0.316 7.183
Cu 4.099 0.242 3.139
Cu 2.725 3.676 5.794
As -2.083 0.344 6.432
As 1.155 4.818 3.127
As 1.078 1.235 4.427
As 4.315 5.708 1.122
O -2.039 6.641 2.595
O -0.703 5.939 0.183
O -1.951 2.028 6.161
O -2.073 4.658 5.970
O -0.349 1.569 3.539
O -0.284 4.672 4.078
O 1.092 3.528 1.903
O -0.874 -0.327 7.489
O 1.305 6.322 2.311
O 0.928 -0.270 5.243
O 3.107 6.379 0.065
O 1.141 2.524 5.650
O 2.516 1.380 3.475
O 2.582 4.483 4.014
O 4.306 1.394 1.583
O 4.184 4.025 1.393
O 2.936 0.113 7.371
O 4.272 -0.589 4.958
```


The following is a PBE calculation of an optimized crystal structure of CuAsO3, from the Materials Project. Values from VASP.

Summary:
The energy of formation from the pure elements comes out at -1.28 eV/atom. As for the space-group type: Pmma.

Structure (Quantum ESPRESSO input):
```
&SYSTEM
  ibrav = 0, nat = 10, ntyp = 3
/
ATOMIC_SPECIES
Cu 63.55 Cu.upf
As 74.92 As.upf
O 16.00 O.upf
CELL_PARAMETERS angstrom
8.974 0.000 0.000
0.000 3.214 0.000
0.000 0.000 4.931
ATOMIC_POSITIONS angstrom
Cu 0.000 0.000 0.000
Cu 4.487 0.000 0.000
As 2.244 1.607 1.944
As 6.731 1.607 2.988
O 0.828 1.607 0.901
O 2.244 0.000 2.844
O 3.659 1.607 0.901
O 5.315 1.607 4.031
O 6.731 0.000 2.087
O 8.147 1.607 4.031
```


The following is a PBE calculation of an optimized crystal structure of CuAsO3, from the Materials Project. Values from VASP.

Summary:
The energy of formation from the pure elements comes out at -1.26 eV/atom. As for the space-group type: R-3.

Structure (Quantum ESPRESSO input):
```
&SYSTEM
  ibrav = 0, nat = 10, ntyp = 3
/
ATOMIC_SPECIES
Cu 63.55 Cu.upf
As 74.92 As.upf
O 16.00 O.upf
CELL_PARAMETERS angstrom
2.507 1.447 5.012
-2.507 1.447 5.012
0.000 -2.894 5.012
ATOMIC_POSITIONS angstrom
Cu 0.000 0.000 1.965
Cu 0.000 0.000 13.071
As 0.000 0.000 5.079
As 0.000 0.000 9.957
O -1.592 -0.191 6.089
O -0.631 -1.474 8.947
O 0.961 -1.284 6.089
O -0.961 1.284 8.947
O 0.631 1.474 6.089
O 1.592 0.191 8.947
```


The following is a PBE calculation of an optimized crystal structure of Cu4As2O9, from the Materials Project. Values from VASP.

Summary:
The energy of formation from the pure elements comes out at -1.25 eV/atom. As for the space-group type: Pnma.

Structure (Quantum ESPRESSO input):
```
&SYSTEM
  ibrav = 0, nat = 60, ntyp = 3
/
ATOMIC_SPECIES
Cu 63.55 Cu.upf
As 74.92 As.upf
O 16.00 O.upf
CELL_PARAMETERS angstrom
8.330 0.000 0.000
0.000 6.513 0.000
0.000 0.000 14.084
ATOMIC_POSITIONS angstrom
Cu 0.613 1.628 1.222
Cu 1.124 4.885 6.333
Cu 1.225 0.047 9.223
Cu 1.225 3.209 9.223
Cu 2.940 3.304 2.181
Cu 2.940 6.466 2.181
Cu 3.041 1.628 13.375
Cu 3.552 4.885 8.264
Cu 4.778 1.628 5.820
Cu 5.289 4.885 0.710
Cu 5.390 0.047 11.903
Cu 5.390 3.209 11.903
Cu 7.105 3.304 4.861
Cu 7.105 6.466 4.861
Cu 7.206 1.628 7.752
Cu 7.717 4.885 12.862
As 0.004 1.628 11.881
As 8.326 4.885 2.204
As 1.298 1.628 5.768
As 2.867 4.885 12.811
As 4.168 1.628 9.246
As 4.161 4.885 4.838
As 5.462 1.628 1.274
As 7.032 4.885 8.316
O 0.680 0.163 5.043
O 0.680 3.094 5.043
O 0.836 1.628 7.446
O 0.957 1.628 10.403
O 1.000 3.474 2.084
O 1.000 6.296 2.084
O 1.086 1.628 13.226
O 1.216 4.885 12.453
O 1.577 4.885 8.333
O 2.588 1.628 1.290
O 2.948 1.628 5.410
O 3.079 4.885 6.184
O 3.165 0.217 9.126
O 3.165 3.039 9.126
O 3.208 4.885 3.361
O 3.329 4.885 0.404
O 3.484 3.419 12.085
O 3.484 6.350 12.085
O 4.845 0.163 1.999
O 4.845 3.094 1.999
O 5.001 1.628 13.680
O 5.122 1.628 10.723
O 5.165 3.474 4.959
O 5.165 6.296 4.959
O 5.251 1.628 7.900
O 5.381 4.885 8.674
O 5.742 4.885 12.794
O 6.753 1.628 5.752
O 7.113 1.628 1.632
O 7.244 4.885 0.858
O 7.330 0.217 12.001
O 7.330 3.039 12.001
O 7.373 4.885 3.681
O 7.494 4.885 6.638
O 7.649 3.419 9.041
O 7.649 6.350 9.041
```


The following is a PBE calculation of an optimized crystal structure of Cu5As2O12, from the Materials Project. Values from VASP.

Summary:
The energy of formation from the pure elements comes out at -1.13 eV/atom. As for the space-group type: P-1.

Structure (Quantum ESPRESSO input):
```
&SYSTEM
  ibrav = 0, nat = 19, ntyp = 3
/
ATOMIC_SPECIES
Cu 63.55 Cu.upf
As 74.92 As.upf
O 16.00 O.upf
CELL_PARAMETERS angstrom
6.121 0.000 0.000
-1.770 5.881 0.000
-0.962 -2.803 6.430
ATOMIC_POSITIONS angstrom
Cu 0.000 0.000 0.000
Cu -0.103 4.923 2.194
Cu 0.820 2.070 2.059
Cu 2.570 1.007 4.372
Cu 3.493 -1.846 4.236
As -0.481 0.426 5.203
As 3.871 2.651 1.227
O -1.764 1.515 4.738
O -0.967 -1.284 5.018
O 1.387 0.553 1.124
O 0.768 0.570 3.974
O 0.911 3.588 0.362
O 0.239 3.419 3.240
O 3.151 -0.341 3.190
O 2.479 -0.510 6.068
O 2.622 2.507 2.456
O 2.002 2.525 5.306
O 4.357 4.362 1.412
O 5.154 1.562 1.693
```